Compound: Os3C8SO8
Source: the Materials Project database
Functional: GGA-PBE
Structure: relaxed

Structure (POSCAR):
```
Os3C8SO8
1.0
16.476 0.000 0.000
0.000 8.291 0.000
0.000 0.924 19.675
Os O C S
24 64 64 8
Cartesian
11.904 5.905 13.528
4.240 3.744 9.274
13.859 8.131 4.136
6.230 4.326 17.133
2.617 1.085 15.538
6.574 2.208 7.952
10.855 8.592 13.974
2.008 3.864 7.296
1.664 2.670 17.789
14.813 6.545 1.886
12.478 5.009 0.564
12.959 7.892 11.985
9.902 7.007 11.723
3.998 4.206 19.111
12.811 5.444 3.691
3.666 3.772 15.984
3.517 1.323 7.690
4.721 1.785 17.527
4.573 3.310 6.147
12.236 5.471 10.401
11.755 7.430 2.148
10.246 4.889 2.542
14.469 5.351 12.379
5.621 0.623 5.701
0.518 1.436 0.941
0.658 5.549 17.356
8.552 2.870 0.993
11.196 5.833 6.230
11.971 7.774 8.361
6.383 1.987 3.056
0.314 5.884 8.845
0.884 5.045 4.716
7.720 1.898 10.779
1.078 7.451 2.901
5.992 4.650 1.309
16.271 1.725 7.464
14.801 1.314 13.682
14.621 6.766 6.781
6.365 8.062 0.206
4.307 7.354 13.985
1.798 5.383 14.174
9.122 3.708 5.122
2.246 5.111 11.146
6.406 5.462 10.604
8.033 7.028 2.374
1.832 5.000 0.766
10.094 7.228 16.619
5.281 3.383 13.444
7.925 6.346 18.682
10.111 1.153 19.469
14.678 3.832 5.500
1.675 7.901 5.993
6.440 4.921 4.337
4.505 1.441 11.314
16.347 1.613 4.373
12.545 2.323 15.528
8.368 2.075 14.210
10.070 3.753 9.071
15.958 7.779 18.733
14.230 4.104 8.529
0.205 7.490 12.211
6.563 8.363 15.830
7.160 7.913 12.738
3.733 0.979 1.476
12.743 8.236 18.199
8.756 7.317 8.896
1.855 2.449 12.893
10.484 4.566 18.366
8.444 2.187 17.301
2.958 2.921 3.607
15.592 4.170 14.959
14.604 0.691 9.632
8.896 4.128 12.156
1.873 8.524 10.043
15.398 1.764 16.774
14.644 4.215 18.908
13.519 6.294 16.068
16.163 3.331 10.830
7.354 5.507 14.553
8.109 7.140 5.465
10.036 4.294 15.338
12.170 1.861 5.690
15.818 3.666 2.319
9.913 0.852 3.845
7.580 5.087 7.519
0.130 7.602 15.302
9.316 1.303 6.937
3.932 6.892 4.147
7.300 5.551 18.110
16.468 2.060 17.112
7.164 4.010 7.661
7.556 2.934 17.232
1.292 4.576 5.695
5.294 4.118 0.547
12.804 1.099 5.083
7.247 2.038 9.727
2.944 4.580 10.384
14.074 0.648 13.047
15.403 4.743 2.176
10.441 7.699 15.612
0.682 2.472 7.394
9.322 1.423 14.131
6.035 1.516 4.063
3.849 1.817 0.679
5.836 9.029 16.465
15.185 4.639 13.980
12.928 6.150 15.068
2.203 1.978 13.900
8.246 1.598 7.274
3.549 3.065 4.607
11.787 5.688 5.231
13.532 4.635 9.291
15.486 6.715 0.110
12.627 7.398 18.996
2.638 4.334 0.259
4.566 7.654 4.755
10.640 0.186 3.210
0.938 5.089 8.273
8.920 6.281 2.443
0.008 7.155 2.563
10.755 8.093 0.665
2.402 8.567 6.628
13.839 4.881 19.416
0.991 2.500 19.565
10.876 4.419 9.578
3.672 8.116 14.592
7.155 7.792 5.543
4.389 2.279 10.516
9.177 3.664 1.565
2.468 4.768 14.908
9.312 5.205 12.014
8.230 7.617 12.401
9.229 7.177 9.947
2.517 0.661 9.172
10.706 4.909 14.604
15.794 6.743 12.280
14.008 4.447 4.767
9.530 4.177 4.143
5.600 4.796 10.096
1.083 8.254 15.381
15.538 4.126 11.402
5.770 4.307 5.070
11.910 1.561 14.920
14.273 7.237 5.775
12.088 6.936 9.158
4.689 3.527 14.444
5.721 1.123 19.010
6.946 5.038 15.532
1.074 4.472 17.498
11.183 5.097 19.128
15.393 0.961 4.294
13.960 8.554 10.503
4.246 5.689 17.220
5.436 8.349 8.044
11.040 0.867 11.631
12.230 3.526 2.455
13.674 0.405 1.793
3.992 5.227 7.383
12.485 3.988 12.292
2.802 8.810 17.882
```

Calculated values
The energy above the most stable polymorph in this dataset is 8 meV/atom. The calculated formation energy comes out at -0.911 eV per atom. Its calculated total energy is -8.17 eV per atom. The space group is P2_1/c.

---

Compound: La3Ga5O12
Source: the Materials Project database
Functional: GGA-PBE
Structure: relaxed

Structure (POSCAR):
```
La3Ga5O12
1.0
-0.552 -0.305 11.049
-9.848 -2.707 -4.262
7.642 -7.193 -3.511
Ga O La
20 48 12
Cartesian
-2.127 -3.004 4.430
-0.276 -0.152 5.524
-8.076 -3.496 4.119
-1.103 -4.950 -3.887
-6.776 -4.205 -3.226
-5.200 -1.506 3.394
-0.768 -8.362 -4.888
3.545 -3.749 3.769
-4.865 -4.918 2.393
-0.630 -7.201 -1.154
0.000 0.000 0.000
3.821 -3.597 -1.756
4.018 -6.000 6.501
-4.924 -1.354 -2.131
-1.990 -1.842 8.163
0.669 -5.739 4.494
-1.379 -5.102 1.638
5.318 -6.709 -0.843
2.107 -5.287 0.883
-3.427 -4.465 -1.218
-1.021 -6.867 0.666
1.719 -7.279 4.176
-1.750 -6.805 -4.458
-6.489 -2.832 7.583
3.687 -7.561 -1.276
1.567 -4.112 4.148
-4.015 -8.673 2.767
2.894 -4.891 7.542
-5.652 -5.314 -4.266
3.731 -7.372 -4.307
1.747 -2.640 8.764
-6.445 -2.644 4.552
-0.256 -5.644 -2.158
1.071 -8.252 -4.464
-1.648 -9.674 1.640
-8.912 -2.694 -0.377
2.015 -7.155 1.155
-6.922 -4.739 -1.418
-1.082 -1.395 -1.034
-4.772 -3.050 2.120
6.154 -7.511 3.653
-4.325 -6.093 -0.872
4.164 -5.466 4.694
1.257 -1.532 0.509
-0.556 -2.102 4.969
-4.505 -7.564 -5.488
-4.477 -2.926 -0.900
-1.008 -3.400 7.734
-5.139 -5.420 4.195
-3.254 -5.831 2.012
-3.715 -2.015 4.706
0.496 -4.374 1.263
0.187 -5.499 6.306
-2.202 -8.103 -1.693
-2.502 -4.561 5.434
2.381 -4.785 -0.919
-6.296 -5.372 1.243
3.538 -4.833 2.033
-3.829 -1.953 7.740
5.709 -6.692 1.007
-1.676 -8.810 4.310
0.957 -8.190 -1.430
-8.467 -3.513 2.269
-1.961 -4.138 -0.070
-1.109 -0.531 1.635
-1.737 -3.338 2.610
-2.945 -4.706 -3.030
-0.796 -6.067 3.346
-3.230 -7.954 0.543
-6.638 -3.044 0.508
-3.093 -6.793 4.277
0.118 -8.214 2.551
1.221 -3.264 6.437
1.970 -6.448 -2.851
-2.876 -1.990 0.725
-3.979 -6.941 -3.161
-4.728 -3.757 6.126
0.335 -3.412 -1.001
0.473 -2.251 2.733
3.880 -7.161 2.768
```

Calculated values
The calculated formation energy comes out at -2.923 eV per atom. Its calculated total energy is -6.98 eV per atom. The space group is Ia-3d.

---

Compound: KY2F7
Source: the Materials Project database
Functional: GGA-PBE
Structure: relaxed

Structure (POSCAR):
```
KY2F7
1.0
4.057 7.258 0.000
-4.057 7.258 0.000
0.000 6.994 9.876
K Y F
4 8 28
Cartesian
0.000 10.655 9.684
0.000 5.776 3.406
0.000 15.734 6.469
0.000 10.854 0.192
1.951 7.258 0.000
0.000 8.264 6.709
0.000 13.245 3.166
-1.951 7.258 0.000
-2.129 11.983 6.726
-2.129 9.526 3.150
2.129 9.526 3.150
2.129 11.983 6.726
0.000 9.219 2.650
2.173 9.315 0.837
0.000 6.254 0.754
0.000 13.614 0.861
1.346 13.089 4.928
-2.121 14.307 7.539
0.000 12.291 7.225
-2.121 7.202 2.336
2.121 14.307 7.539
-1.346 8.420 4.948
-1.395 11.591 2.567
0.000 5.945 6.087
1.395 9.918 7.309
1.395 11.591 2.567
-1.346 13.089 4.928
2.605 10.755 4.938
0.000 7.896 9.015
-2.173 9.315 0.837
0.000 18.221 7.392
2.121 7.202 2.336
1.346 8.420 4.948
-1.395 9.918 7.309
0.000 15.565 3.789
-2.605 10.755 4.938
2.173 12.194 9.039
0.000 15.255 9.121
0.000 3.288 2.484
-2.173 12.194 9.039
```

Calculated values
The calculated formation energy comes out at -4.186 eV per atom. Its calculated total energy is -6.61 eV per atom. The space group is C2/m.

---

Compound: Na4Y2SiP2O12
Source: the Materials Project database
Functional: GGA-PBE
Structure: relaxed

Structure (POSCAR):
```
Na4Y2SiP2O12
1.0
9.457 0.000 0.000
-4.729 8.190 0.000
0.000 0.000 23.328
O P Si Y Na
72 12 6 12 24
Cartesian
2.801 7.996 16.166
1.948 5.259 20.141
-1.944 5.258 8.403
5.852 4.305 3.252
-0.942 6.963 5.935
-0.725 3.975 5.882
0.827 1.782 16.241
2.973 8.071 9.624
3.712 1.297 5.727
0.838 3.679 10.983
6.696 2.946 14.859
5.652 1.358 17.445
3.925 6.390 7.080
0.824 7.023 1.837
-3.835 6.810 9.660
2.785 2.542 0.701
1.962 5.625 22.647
0.836 7.242 8.452
3.732 6.723 21.285
1.148 3.874 8.477
1.647 0.078 13.669
3.926 0.969 14.916
-1.643 5.340 1.893
1.158 1.596 18.744
5.462 4.326 17.392
-0.775 1.580 21.288
-3.569 6.593 16.249
-0.941 3.965 13.501
3.983 1.268 21.450
6.686 2.551 12.362
-0.796 1.766 4.502
2.956 2.664 17.393
5.501 1.133 9.817
-1.944 5.661 11.045
3.598 6.583 4.577
3.606 4.344 14.875
5.555 6.406 18.749
5.522 4.521 0.602
7.704 0.142 2.051
-0.717 6.943 13.557
5.525 0.918 3.195
3.899 4.298 5.729
-1.125 3.844 20.116
0.772 1.596 9.621
1.763 5.309 13.509
2.973 2.850 9.812
1.749 5.624 5.939
-2.766 7.985 4.585
-1.773 5.525 17.599
6.499 2.859 21.481
3.747 4.191 21.476
3.574 1.147 12.266
1.958 0.177 7.085
0.732 3.863 17.603
-0.797 3.673 22.622
3.920 4.507 12.365
1.013 4.009 1.845
7.528 0.192 18.826
0.924 6.831 17.546
3.947 6.604 13.695
-1.146 7.043 22.709
5.862 1.124 0.698
8.326 1.575 7.162
8.458 1.447 13.715
1.149 7.044 10.958
2.770 2.895 3.211
5.484 6.725 2.005
0.983 1.470 2.031
-3.087 8.107 21.324
-0.796 7.244 20.067
6.378 2.616 5.781
5.621 4.107 9.786
2.855 0.011 5.835
6.146 5.712 17.499
3.292 5.724 5.830
7.584 2.729 13.610
1.429 3.004 9.726
2.842 5.450 21.390
1.889 2.733 1.950
6.157 0.257 1.946
1.417 2.477 17.494
3.306 5.187 13.614
-1.412 2.995 21.375
1.429 7.916 9.711
-1.445 7.966 21.387
-1.432 2.482 5.832
3.288 0.236 13.597
1.863 8.189 17.496
-2.893 5.458 9.723
6.167 5.225 1.933
4.725 8.189 19.794
4.741 2.740 22.976
-0.044 5.489 12.017
4.728 8.180 15.199
-0.001 0.004 8.130
4.734 2.677 15.907
-0.053 5.433 7.422
4.777 2.752 4.243
-0.047 5.484 0.354
4.726 2.715 11.312
-0.003 5.520 19.086
0.008 0.006 3.535
-0.095 5.385 3.886
2.976 5.259 17.448
4.836 2.779 7.780
2.969 0.204 9.842
1.669 7.925 13.732
3.529 5.459 9.722
3.076 5.709 1.898
1.766 2.405 21.386
6.036 5.517 21.506
4.740 2.612 19.444
3.538 0.001 17.497
6.043 0.051 5.882
0.017 5.580 15.550
-4.620 8.137 11.663
7.698 2.526 9.598
6.390 0.260 21.262
6.497 5.126 5.833
1.322 2.672 13.562
-1.301 2.782 2.068
-1.766 7.860 1.868
-2.961 5.789 13.532
7.706 2.931 17.546
1.662 2.983 5.784
-4.628 8.123 23.327
```

Calculated values
The calculated formation energy comes out at -3.047 eV per atom. Its calculated total energy is -7.12 eV per atom. The space group is Cc.

---

Compound: Li5CuP2O8
Source: the Materials Project database
Functional: GGA-PBE
Structure: relaxed

Structure (POSCAR):
```
Li5CuP2O8
1.0
5.338 0.000 0.000
0.010 6.215 0.000
0.032 0.021 9.956
O Li P Cu
16 10 4 2
Cartesian
1.579 1.288 0.552
4.828 0.012 5.494
3.703 4.400 7.985
4.415 3.144 5.886
4.809 6.118 0.437
3.664 1.876 3.048
1.022 0.018 8.382
1.702 4.941 5.532
1.706 4.928 0.515
1.043 0.007 3.449
0.569 3.120 3.018
0.572 3.124 7.963
3.694 1.835 7.901
1.693 1.296 5.527
4.423 3.169 0.961
3.659 4.377 3.062
1.781 4.656 7.511
4.534 0.016 7.518
3.616 1.542 5.037
1.758 4.665 2.535
3.619 4.703 5.029
0.855 3.119 5.030
1.768 1.590 7.507
3.593 4.673 0.035
0.832 3.105 0.036
1.756 1.562 2.539
4.435 3.131 2.520
0.980 6.225 5.010
0.993 6.209 9.935
4.439 3.135 7.442
4.416 0.019 2.526
3.551 1.519 0.026
```

Calculated values
The energy above the most stable polymorph in this dataset is 3 meV/atom. The calculated formation energy comes out at -2.523 eV per atom. Its calculated total energy is -6.18 eV per atom. The space group is P1.